Record 1
First-principles (PBE-GGA) data for a relaxed structure of Rb2U3I4O20, as listed in the Materials Project database.

POSCAR file:
```
Rb2U3I4O20
1.0
7.102 0.000 0.000
-0.312 8.173 0.000
-2.373 -0.118 9.055
Rb U I O
2 3 4 20
Direct
0.244 0.088 0.351
0.756 0.912 0.649
0.000 0.500 0.500
0.451 0.579 0.308
0.549 0.421 0.692
0.122 0.300 0.875
0.301 0.850 0.946
0.699 0.150 0.054
0.878 0.700 0.125
0.044 0.713 0.564
0.049 0.784 0.947
0.104 0.101 0.787
0.113 0.614 0.219
0.227 0.417 0.737
0.310 0.490 0.488
0.354 0.019 0.080
0.420 0.371 0.230
0.435 0.687 0.062
0.478 0.791 0.379
0.522 0.209 0.621
0.565 0.313 0.938
0.580 0.629 0.770
0.646 0.981 0.920
0.690 0.510 0.512
0.773 0.583 0.263
0.887 0.386 0.781
0.896 0.899 0.213
0.951 0.216 0.053
0.956 0.287 0.436
```

Properties
Magnetization in μB/f.u.: 0.0
Density in g/cm3: 5.41
Calculated formation energy in meV per atom: -2165.9
Volume in Å³/atom: 18.1

=====

Record 2
First-principles (PBE-GGA) data for a relaxed structure of SI3O10, as listed in the Materials Project database.

POSCAR file:
```
SI3O10
1.0
9.164 0.000 0.000
0.000 20.995 0.000
0.000 0.000 9.968
S I O
8 24 80
Direct
0.078 0.233 0.000
0.221 0.252 0.514
0.279 0.752 0.014
0.422 0.733 0.500
0.578 0.267 0.000
0.721 0.248 0.514
0.779 0.748 0.014
0.922 0.767 0.500
0.121 0.388 0.755
0.122 0.106 0.759
0.230 0.872 0.760
0.245 0.000 0.506
0.245 0.496 0.506
0.249 0.624 0.747
0.251 0.124 0.247
0.255 0.500 0.006
0.255 0.996 0.006
0.270 0.372 0.260
0.378 0.606 0.259
0.379 0.888 0.255
0.621 0.112 0.755
0.622 0.394 0.759
0.730 0.628 0.760
0.745 0.004 0.506
0.745 0.500 0.506
0.749 0.876 0.747
0.751 0.376 0.247
0.755 0.000 0.006
0.755 0.504 0.006
0.770 0.128 0.260
0.878 0.894 0.259
0.879 0.612 0.255
0.018 0.237 0.136
0.034 0.758 0.393
0.057 0.876 0.842
0.073 0.629 0.675
0.079 0.451 0.623
0.083 0.052 0.607
0.085 0.441 0.903
0.089 0.041 0.885
0.113 0.204 0.567
0.152 0.170 0.983
0.161 0.317 0.510
0.162 0.745 0.119
0.172 0.443 0.332
0.179 0.045 0.175
0.179 0.911 0.596
0.183 0.286 0.972
0.184 0.607 0.251
0.184 0.889 0.250
0.190 0.586 0.913
0.227 0.734 0.879
0.273 0.234 0.379
0.310 0.086 0.413
0.316 0.107 0.751
0.316 0.389 0.750
0.317 0.786 0.472
0.321 0.411 0.096
0.321 0.545 0.675
0.328 0.943 0.832
0.338 0.245 0.619
0.339 0.817 0.010
0.348 0.670 0.483
0.387 0.704 0.067
0.411 0.541 0.385
0.415 0.941 0.403
0.417 0.552 0.107
0.421 0.951 0.123
0.427 0.129 0.175
0.443 0.376 0.342
0.466 0.258 0.893
0.482 0.737 0.636
0.518 0.263 0.136
0.534 0.742 0.393
0.557 0.624 0.842
0.573 0.871 0.675
0.579 0.049 0.623
0.583 0.448 0.607
0.585 0.059 0.903
0.589 0.459 0.885
0.613 0.296 0.567
0.652 0.330 0.983
0.661 0.183 0.510
0.662 0.755 0.119
0.672 0.057 0.332
0.679 0.455 0.175
0.679 0.589 0.596
0.683 0.214 0.972
0.684 0.611 0.250
0.684 0.893 0.251
0.690 0.914 0.913
0.727 0.766 0.879
0.773 0.266 0.379
0.810 0.414 0.413
0.816 0.111 0.750
0.816 0.393 0.751
0.817 0.714 0.472
0.821 0.089 0.096
0.821 0.955 0.675
0.828 0.557 0.832
0.838 0.255 0.619
0.839 0.683 0.010
0.848 0.830 0.483
0.887 0.796 0.067
0.911 0.959 0.385
0.915 0.559 0.403
0.917 0.948 0.107
0.921 0.549 0.123
0.927 0.371 0.175
0.943 0.124 0.342
0.966 0.242 0.893
0.982 0.763 0.636
```

Properties
Magnetization in μB/f.u.: 0.0
Density in g/cm3: 3.97
Calculated formation energy in meV per atom: -932.2
Volume in Å³/atom: 17.1

=====

Record 3
First-principles (PBE-GGA) data for a relaxed structure of S4I2O15, as listed in the Materials Project database.

POSCAR file:
```
S4I2O15
1.0
5.605 0.000 0.000
-2.216 6.512 0.000
-0.558 -1.246 9.185
S I O
4 2 15
Direct
0.000 0.000 0.000
0.165 0.541 0.626
0.574 0.046 0.412
0.816 0.565 0.053
0.297 0.024 0.720
0.502 0.568 0.332
0.058 0.069 0.152
0.062 0.553 0.035
0.168 0.546 0.462
0.238 0.967 0.938
0.289 0.402 0.677
0.337 0.034 0.489
0.379 0.766 0.698
0.470 0.836 0.291
0.586 0.402 0.999
0.616 0.209 0.319
0.781 0.035 0.506
0.784 0.762 0.979
0.820 0.636 0.222
0.882 0.099 0.904
0.921 0.534 0.667
```

Properties
Density in g/cm3: 3.08
Calculated formation energy in meV per atom: -1414.1
Volume in Å³/atom: 16.0

=====

Record 4
First-principles (PBE-GGA) data for a relaxed structure of SI2O6, as listed in the Materials Project database.

POSCAR file:
```
SI2O6
1.0
7.665 -2.380 0.000
7.665 2.380 0.000
-5.563 0.000 8.921
S I O
2 4 12
Direct
0.182 0.818 0.750
0.818 0.182 0.250
0.135 0.540 0.249
0.460 0.865 0.251
0.540 0.135 0.749
0.865 0.460 0.751
0.090 0.091 0.354
0.091 0.090 0.854
0.256 0.304 0.848
0.304 0.256 0.348
0.335 0.621 0.847
0.379 0.665 0.653
0.621 0.335 0.347
0.665 0.379 0.153
0.696 0.744 0.652
0.744 0.696 0.152
0.909 0.910 0.146
0.910 0.909 0.646
```

Properties
Density in g/cm3: 3.90
Calculated formation energy in meV per atom: -1141.1
Volume in Å³/atom: 18.1

=====

Record 5
First-principles (PBE-GGA) data for a relaxed structure of S5I2O18, as listed in the Materials Project database.

POSCAR file:
```
S5I2O18
1.0
14.863 -2.899 0.000
14.863 2.899 0.000
-2.176 0.000 9.034
S I O
10 4 36
Direct
0.019 0.817 0.221
0.180 0.820 0.750
0.183 0.981 0.279
0.245 0.339 0.174
0.339 0.245 0.674
0.661 0.755 0.326
0.755 0.661 0.826
0.817 0.019 0.721
0.820 0.180 0.250
0.981 0.183 0.779
0.156 0.557 0.490
0.443 0.844 0.010
0.557 0.156 0.990
0.844 0.443 0.510
0.014 0.214 0.285
0.030 0.031 0.679
0.031 0.030 0.179
0.058 0.561 0.122
0.102 0.747 0.081
0.125 0.478 0.582
0.190 0.630 0.324
0.214 0.014 0.785
0.223 0.265 0.177
0.253 0.898 0.419
0.265 0.223 0.677
0.267 0.675 0.628
0.297 0.350 0.832
0.325 0.733 0.872
0.350 0.297 0.332
0.370 0.810 0.176
0.439 0.942 0.378
0.478 0.125 0.082
0.522 0.875 0.918
0.561 0.058 0.622
0.630 0.190 0.824
0.650 0.703 0.668
0.675 0.267 0.128
0.703 0.650 0.168
0.733 0.325 0.372
0.735 0.777 0.323
0.747 0.102 0.581
0.777 0.735 0.823
0.786 0.986 0.215
0.810 0.370 0.676
0.875 0.522 0.418
0.898 0.253 0.919
0.942 0.439 0.878
0.969 0.970 0.821
0.970 0.969 0.321
0.986 0.786 0.715
```

Properties
Magnetization in μB/f.u.: 0.0
Density in g/cm3: 3.00
Calculated formation energy in meV per atom: -1441.4
Volume in Å³/atom: 15.6

=====

Record 6
First-principles (PBE-GGA) data for a relaxed structure of Sb4I2O5, as listed in the Materials Project database.

POSCAR file:
```
Sb4I2O5
1.0
7.090 0.000 0.000
0.000 5.298 0.000
-1.407 0.000 13.900
Sb I O
8 4 10
Direct
0.164 0.221 0.048
0.164 0.279 0.548
0.180 0.608 0.295
0.180 0.892 0.795
0.820 0.108 0.205
0.820 0.392 0.705
0.836 0.721 0.452
0.836 0.779 0.952
0.500 0.204 0.382
0.500 0.296 0.882
0.500 0.704 0.118
0.500 0.796 0.618
0.000 0.000 0.500
0.000 0.500 0.000
0.066 0.004 0.919
0.066 0.496 0.419
0.067 0.174 0.711
0.067 0.326 0.211
0.933 0.674 0.789
0.933 0.826 0.289
0.934 0.504 0.581
0.934 0.996 0.081
```

Properties
Density in g/cm3: 5.22
Calculated formation energy in meV per atom: -1428.8
Volume in Å³/atom: 23.7